Entry 1:
! Mg45Si32H58O138 (PBE-GGA, optimized geometry); values from VASP
! Energy relative to the elements: -2.623 eV/atom
! Space group: No. 12
! Total magnetic moment: 0.00 μB/f.u.
! Raw total energy: -1746.4 eV/cell
&SYSTEM
  ibrav = 0, nat = 273, ntyp = 4
/
ATOMIC_SPECIES
O 16.00 O.upf
H 1.01 H.upf
Mg 24.30 Mg.upf
Si 28.09 Si.upf
CELL_PARAMETERS angstrom
-3.225 6.491 -1.377
-1.228 1.334 9.164
37.697 17.164 -2.207
ATOMIC_POSITIONS angstrom
O 24.617 16.343 0.921
O 11.709 9.082 0.248
O 11.568 11.553 1.471
O 29.264 21.786 3.230
O 18.091 15.617 -2.134
O 21.676 13.435 4.109
O 10.381 7.404 7.360
O 14.004 12.736 3.194
O 20.515 16.511 -2.142
O 15.016 7.992 0.849
O 18.828 15.169 6.636
O 1.240 1.109 0.005
O 31.963 19.932 -0.206
O 19.607 14.244 0.555
O 5.675 5.118 7.082
O 29.453 18.766 1.216
O 6.018 7.604 6.036
O 34.524 21.207 -1.632
O 28.978 17.206 6.141
O 27.569 19.869 -1.501
O 6.522 9.259 1.124
O -1.280 3.781 7.212
O 14.396 12.360 0.130
O 21.534 15.906 5.333
O 29.391 16.757 3.095
O 12.007 7.680 5.253
O 14.014 10.256 1.945
O 9.215 10.211 -0.251
O 24.839 13.871 -0.289
O 1.691 4.611 2.728
O 17.501 16.258 2.265
O 26.820 17.825 2.575
O 22.863 17.584 -1.780
O 17.210 13.185 -1.264
O -0.942 5.453 2.233
O 19.873 17.208 2.648
O 6.103 9.700 4.168
O 22.069 12.999 1.066
O 3.791 6.221 4.364
O 25.003 15.981 -2.148
O 23.019 19.050 5.074
O 32.004 23.879 5.575
O 11.305 9.454 3.331
O 18.848 8.582 -1.104
O 3.341 3.896 7.120
O 6.269 4.473 2.646
O 14.416 9.819 -1.056
O 24.185 16.870 3.959
O 29.903 21.092 -1.540
O 22.274 18.224 2.618
O 26.722 15.728 4.457
O 15.743 8.730 3.315
O -0.272 0.296 2.032
O 34.186 19.535 3.347
O 33.706 22.095 4.474
O 27.698 21.394 5.360
O 29.802 16.311 0.026
O 2.058 4.216 -0.338
O 1.281 5.056 5.787
O 1.104 2.542 6.753
O 7.993 6.317 7.375
O 3.980 3.202 2.351
O 5.706 10.146 7.214
O 32.427 17.417 -1.365
O 31.186 20.771 5.918
O 32.055 17.870 1.695
O 16.460 11.340 3.665
O 3.442 8.677 5.554
O 16.489 15.475 -0.042
O -1.357 5.903 5.329
O 1.636 6.681 0.833
O 10.900 9.894 6.352
O -0.462 2.892 1.106
O 8.405 11.117 5.870
O 29.822 18.399 -1.859
O 11.175 11.989 4.514
O 15.153 9.370 7.714
O 0.817 7.570 6.945
O 24.427 14.319 2.789
O 27.226 17.384 -0.456
O 3.853 8.230 2.486
O 6.814 6.779 -0.073
O 19.230 14.732 3.636
O 29.002 19.289 4.258
O 8.241 9.006 7.728
O 16.784 13.648 1.915
O -0.901 3.496 4.132
O 4.242 5.699 1.323
O 18.848 12.628 5.450
O 21.939 15.533 2.249
O -0.548 4.996 -0.800
O 11.981 11.104 -1.612
O 16.444 13.841 4.951
O 13.637 10.744 5.025
O 21.263 13.884 7.193
O 7.254 5.451 4.940
O 22.344 15.094 -0.772
O 5.546 3.594 0.220
O 27.538 14.842 -1.634
O 31.608 18.307 4.748
O 8.627 8.645 4.659
O 21.237 17.307 0.327
O 26.430 18.209 5.653
O 24.029 14.777 5.831
O 27.141 15.288 1.412
O 10.970 6.764 2.963
O 16.755 9.513 5.622
O 3.422 6.589 7.439
O 33.792 19.992 6.381
O 34.145 21.492 1.448
O 19.650 11.806 -0.675
O 16.800 11.146 0.629
O 25.990 19.536 0.640
O 8.817 10.669 2.791
O 1.675 1.922 2.493
O 32.139 22.446 -1.172
O 18.234 9.249 3.478
O 1.189 7.118 3.885
O 12.729 8.477 7.723
O 13.594 13.182 6.256
O 10.225 5.938 0.506
O 24.616 19.360 2.943
O 4.266 7.782 -0.561
O 26.975 20.515 2.934
O 30.547 21.965 0.897
O 8.628 5.628 2.637
O 25.251 18.671 -1.794
O 9.059 8.118 1.621
O 34.601 19.084 0.251
O -0.956 1.038 7.132
O 19.240 12.252 2.386
O 31.569 23.066 3.087
O 2.697 3.022 4.683
O 6.424 7.163 3.006
O 18.228 16.996 4.731
O 31.553 20.377 2.852
O 13.371 7.780 2.932
O 16.034 11.803 6.844
H 34.620 18.696 3.567
H 11.559 11.945 -1.858
H 27.143 14.861 4.580
H 2.530 3.393 -0.155
H 7.978 11.982 5.755
H 0.686 7.931 3.699
H 12.056 8.195 0.423
H 20.061 10.938 -0.543
H 35.045 18.234 0.394
H 24.504 13.951 6.015
H 4.191 5.359 4.543
H 30.221 15.443 0.147
H 3.808 8.620 -0.744
H 19.638 11.397 2.613
H 1.230 7.550 0.682
H 13.183 14.050 6.124
H 7.217 5.917 0.106
H 6.101 10.127 1.000
H 16.042 14.704 4.772
H 27.944 13.991 -1.397
H 26.027 19.071 5.474
H 13.606 13.590 2.967
H 13.945 9.842 5.198
H -1.376 6.292 2.013
H 29.053 19.629 1.037
H -0.977 5.852 -0.982
H 21.188 16.793 5.157
H -0.508 2.632 4.310
H 9.032 7.784 4.839
H 32.558 17.057 1.881
H 21.685 13.043 7.438
H 30.714 21.595 5.735
H 8.740 11.037 -0.435
H 22.115 12.576 4.226
H 10.752 12.842 4.334
H 8.409 11.515 2.545
H 27.612 14.459 1.596
H 33.752 22.355 1.270
H 19.292 11.787 5.631
H 3.450 9.081 2.247
H 11.129 12.412 1.354
H 25.266 13.005 -0.175
H 24.835 13.472 3.036
H 17.202 10.284 0.809
H 0.418 8.431 6.736
H 34.220 19.136 6.563
H 29.436 16.368 6.324
H 19.299 15.145 0.382
H 32.826 16.557 -1.156
H 29.794 15.907 3.334
H 32.014 17.438 4.898
H 22.492 12.146 1.247
H 5.300 10.997 6.977
H -1.801 6.753 5.186
H 5.632 10.528 3.984
H 13.952 13.201 -0.051
H 3.023 9.545 5.433
H 24.212 17.204 0.741
Mg 2.685 6.537 2.598
Mg 33.513 19.172 -1.481
Mg 4.499 8.472 7.311
Mg 25.297 16.420 5.762
Mg 15.385 11.986 1.898
Mg 21.068 13.326 -0.698
Mg 28.745 16.516 -1.730
Mg 23.428 14.581 1.018
Mg 22.994 15.042 4.076
Mg 32.692 20.064 4.644
Mg 4.883 8.032 4.247
Mg 18.278 12.616 0.614
Mg 7.947 8.567 -0.182
Mg 10.656 9.504 -1.533
Mg 14.966 12.372 4.967
Mg -2.429 4.132 5.408
Mg 12.584 11.219 3.234
Mg 2.279 6.978 5.623
Mg 15.793 11.543 -1.144
Mg -2.023 3.692 2.380
Mg 22.588 15.484 7.113
Mg 9.816 10.407 4.562
Mg 7.559 9.028 2.885
Mg -1.612 3.245 -0.688
Mg 17.451 13.444 6.724
Mg 0.101 5.353 3.996
Mg 30.559 18.450 2.982
Mg 5.319 7.582 1.192
Mg 30.965 18.010 -0.043
Mg -0.269 5.815 7.061
Mg 7.153 9.469 5.917
Mg 10.249 9.946 1.504
Mg 30.138 18.915 6.048
Mg 12.176 11.662 6.278
Mg 0.552 4.924 0.937
Mg 28.361 16.955 1.333
Mg 20.660 13.769 2.347
Mg 33.142 19.635 1.584
Mg 27.925 17.406 4.388
Mg 20.283 14.179 5.416
Mg 3.106 6.073 -0.467
Mg 25.685 15.960 2.695
Mg 12.961 10.809 0.164
Mg 26.091 15.519 -0.337
Mg 17.859 13.002 3.682
Si 6.707 6.180 6.335
Si 8.873 7.557 8.033
Si 7.113 5.739 3.305
Si 18.734 16.237 3.348
Si 2.480 3.245 3.053
Si 14.913 8.313 -0.773
Si 11.883 7.979 3.621
Si -0.341 2.508 7.550
Si 16.448 15.196 1.577
Si 29.085 19.796 -2.169
Si 14.510 8.750 2.233
Si 21.361 17.008 1.959
Si 32.760 23.376 4.187
Si 23.550 18.322 3.672
Si 11.477 8.419 6.646
Si 9.694 6.666 1.908
Si 16.387 10.235 7.052
Si 18.331 16.675 6.353
Si 2.076 3.685 6.072
Si 16.857 14.752 -1.472
Si 26.131 19.249 2.275
Si 33.585 22.480 -1.969
Si 28.263 20.688 3.963
Si 24.371 17.430 -2.453
Si 4.981 4.299 1.617
Si 4.159 5.192 7.749
Si 30.764 21.743 2.527
Si 16.796 9.792 4.003
Si 21.766 16.568 -1.065
Si 31.168 21.303 -0.492
Si 0.484 1.612 1.393
Si 26.537 18.808 -0.755

---

Entry 2:
! NdSi3Ir (PBE-GGA, optimized geometry); values from VASP
! Energy relative to the elements: -0.815 eV/atom
! Space group: No. 107
! Raw total energy: -34.0 eV/cell
&SYSTEM
  ibrav = 0, nat = 5, ntyp = 3
/
ATOMIC_SPECIES
Nd 144.24 Nd.upf
Si 28.09 Si.upf
Ir 192.22 Ir.upf
CELL_PARAMETERS angstrom
4.263 0.000 0.000
0.000 4.263 0.000
-2.131 -2.131 4.941
ATOMIC_POSITIONS angstrom
Nd 2.131 2.131 4.931
Si 0.000 2.131 2.603
Si 0.000 0.000 4.091
Si 2.131 0.000 2.603
Ir 2.131 2.131 1.526

---

Entry 3:
! Ce3Ge6Pd20 (PBE-GGA, optimized geometry); values from VASP
! Energy relative to the elements: -0.645 eV/atom
! Space group: No. 225
! Total magnetic moment: 2.72 μB/f.u.
! Raw total energy: -167.8 eV/cell
&SYSTEM
  ibrav = 0, nat = 29, ntyp = 3
/
ATOMIC_SPECIES
Pd 106.42 Pd.upf
Ge 72.64 Ge.upf
Ce 140.12 Ce.upf
CELL_PARAMETERS angstrom
5.286 -4.559 5.489
5.943 4.285 5.018
-1.183 0.555 8.783
ATOMIC_POSITIONS angstrom
Pd 6.646 2.134 9.738
Pd 6.770 -0.089 7.772
Pd 1.300 1.855 7.471
Pd 2.071 1.493 1.749
Pd 3.444 -2.970 3.576
Pd 3.275 0.370 11.519
Pd 5.515 -1.477 5.325
Pd 5.714 1.203 5.182
Pd 3.710 2.330 9.330
Pd 1.842 -1.588 1.913
Pd 1.071 -1.227 7.635
Pd 3.460 2.985 6.330
Pd 6.211 0.174 11.926
Pd -0.771 0.362 5.723
Pd 3.835 0.107 7.364
Pd 3.032 -2.777 6.637
Pd 6.335 -2.049 9.960
Pd 3.400 -1.853 9.553
Pd -0.412 0.194 3.061
Pd 3.872 2.792 3.270
Ge 5.145 -2.034 7.722
Ge 4.901 2.315 11.568
Ge 7.894 -0.051 10.044
Ge 2.152 0.333 9.246
Ge 4.597 -1.777 11.786
Ge 5.448 2.058 7.504
Ce 0.000 0.000 0.000
Ce 7.534 0.211 14.468
Ce 2.511 0.070 4.823

---

Entry 4:
! Mg6TiSnO8 (PBE-GGA, optimized geometry); values from VASP
! Energy relative to the elements: -2.560 eV/atom
! Space group: No. 123
! Total magnetic moment: 2.00 μB/f.u.
! Raw total energy: -96.6 eV/cell
! E above lowest polymorph: 0.0000 eV/atom
&SYSTEM
  ibrav = 0, nat = 16, ntyp = 4
/
ATOMIC_SPECIES
Mg 24.30 Mg.upf
Sn 118.71 Sn.upf
O 16.00 O.upf
Ti 47.87 Ti.upf
CELL_PARAMETERS angstrom
-3.212 7.805 2.750
-1.130 -1.833 3.885
3.984 1.056 1.657
ATOMIC_POSITIONS angstrom
Mg -1.606 3.902 1.375
Mg -0.374 6.277 2.854
Mg -2.931 4.832 3.968
Mg 1.146 2.584 1.553
Mg -0.179 3.514 4.146
Mg -1.411 1.139 2.667
Sn 0.000 0.000 0.000
O -0.952 5.393 4.808
O 0.386 4.430 2.203
O 0.594 1.634 3.484
O 1.992 0.528 0.828
O -0.881 2.141 0.754
O -2.331 5.664 1.995
O -0.565 -0.917 1.942
O -2.171 2.986 3.317
Ti 1.427 -0.389 2.771

---

Entry 5:
! GaP (PBE-GGA, optimized geometry); values from VASP
! Energy relative to the elements: 0.164 eV/atom
! Space group: No. 123
! Total magnetic moment: 0.00 μB/f.u.
! Raw total energy: -8.1 eV/cell
! E above lowest polymorph: 0.5737 eV/atom
&SYSTEM
  ibrav = 0, nat = 2, ntyp = 2
/
ATOMIC_SPECIES
Ga 69.72 Ga.upf
P 30.97 P.upf
CELL_PARAMETERS angstrom
-2.186 -0.414 -1.277
-0.527 -1.980 1.544
-2.528 3.229 3.278
ATOMIC_POSITIONS angstrom
Ga -1.264 1.615 1.639
P 0.000 0.000 0.000

---

Entry 6:
! Ti2InN (PBE-GGA, optimized geometry); values from VASP
! Energy relative to the elements: -1.157 eV/atom
! Space group: No. 194
! Raw total energy: -62.3 eV/cell
&SYSTEM
  ibrav = 0, nat = 8, ntyp = 3
/
ATOMIC_SPECIES
In 114.82 In.upf
N 14.01 N.upf
Ti 47.87 Ti.upf
CELL_PARAMETERS angstrom
0.019 2.750 -1.457
-2.247 -2.066 -0.604
-7.777 5.468 10.218
ATOMIC_POSITIONS angstrom
In -3.436 0.906 1.666
In -6.570 5.245 6.490
N -3.889 2.734 5.109
N 0.000 0.000 0.000
Ti -5.985 2.698 5.014
Ti -1.341 1.569 -0.379
Ti -4.021 3.454 3.142
Ti -8.665 4.582 8.535

---

Entry 7:
! Ca3SiBr2 (PBE-GGA, optimized geometry); values from VASP
! Energy relative to the elements: -1.297 eV/atom
! Space group: No. 139
! Total magnetic moment: 0.00 μB/f.u.
! Raw total energy: -21.4 eV/cell
! E above lowest polymorph: 0.1081 eV/atom
&SYSTEM
  ibrav = 0, nat = 6, ntyp = 3
/
ATOMIC_SPECIES
Ca 40.08 Ca.upf
Br 79.90 Br.upf
Si 28.09 Si.upf
CELL_PARAMETERS angstrom
1.482 -5.003 8.571
-4.461 -3.951 8.073
1.148 1.853 -9.795
ATOMIC_POSITIONS angstrom
Ca -1.920 -5.771 10.727
Ca 0.000 0.000 0.000
Ca -1.059 -3.183 5.917
Br -2.425 -7.291 13.551
Br -0.553 -1.664 3.092
Si -1.489 -4.477 8.322

---

Entry 8:
! Tb2InGe2 (PBE-GGA, optimized geometry); values from VASP
! Energy relative to the elements: -0.718 eV/atom
! Space group: No. 127
! Raw total energy: -49.7 eV/cell
&SYSTEM
  ibrav = 0, nat = 10, ntyp = 3
/
ATOMIC_SPECIES
Ge 72.64 Ge.upf
Tb 158.93 Tb.upf
In 114.82 In.upf
CELL_PARAMETERS angstrom
7.446 0.000 0.000
0.000 7.446 0.000
0.000 0.000 4.216
ATOMIC_POSITIONS angstrom
Ge 4.628 6.541 0.000
Ge 2.818 0.905 0.000
Ge 0.905 4.628 0.000
Ge 6.541 2.818 0.000
Tb 6.120 5.049 2.108
Tb 5.049 1.326 2.108
Tb 2.397 6.120 2.108
Tb 1.326 2.397 2.108
In 0.000 0.000 0.000
In 3.723 3.723 0.000